This record from the Materials Project database describes a relaxed structure of Sm3Hg. The functional is r2SCAN.

Lattice parameters (Å, degrees): 4.7517 4.7517 10.1077 90.00 90.00 90.00
Space group I4/mmm (No. 139)
Asymmetric unit:
Sm 0.0000 0.0000 0.0000 (multiplicity 2)
Sm 0.0000 0.5000 0.2500 (multiplicity 4)
Hg 0.0000 0.0000 0.5000 (multiplicity 2)

Computed properties:
**E above lowest polymorph**: 25.6 meV per atom
**Mass density**: 9.5 Mg/m³
**Total energy**: -34.84 eV/atom

This record from the Materials Project database describes a relaxed structure of SmHg3. The functional is r2SCAN.

Lattice parameters (Å, degrees): 6.6980 6.6980 4.9961 90.00 90.00 120.00
Space group P6_3/mmc (No. 194)
Asymmetric unit:
Sm 0.3333 0.6667 0.2500 (multiplicity 2)
Hg 0.1636 0.3273 0.7500 (multiplicity 6)

Computed properties:
**Mass density**: 12.9 Mg/m³
**Total energy**: -44.91 eV/atom

This record from the Materials Project database describes a relaxed structure of SmTmHg2. The functional is r2SCAN.

Lattice parameters (Å, degrees): 7.4228 7.4228 7.4228 90.00 90.00 90.00
Space group Fm-3m (No. 225)
Asymmetric unit:
Sm 0.0000 0.0000 0.0000 (multiplicity 4)
Tm 0.0000 0.0000 0.5000 (multiplicity 4)
Hg 0.2500 0.2500 0.2500 (multiplicity 8)

Computed properties:
**Mass density**: 11.7 Mg/m³
**Total energy**: -41.46 eV/atom

This record from the Materials Project database describes a relaxed structure of SmYHg2. The functional is r2SCAN.

Lattice parameters (Å, degrees): 7.4840 7.4840 7.4840 90.00 90.00 90.00
Space group Fm-3m (No. 225)
Asymmetric unit:
Sm 0.0000 0.0000 0.0000 (multiplicity 4)
Y 0.0000 0.0000 0.5000 (multiplicity 4)
Hg 0.2500 0.2500 0.2500 (multiplicity 8)

Computed properties:
**Mass density**: 10.1 Mg/m³
**Total energy**: -37.77 eV/atom